MgV2Cl4O2: optimized geometry, GGA+U.

a b c (Å): 8.7340 3.5712 7.1009
angles (deg): 104.59 111.50 89.97
Atoms (fractional coordinates):
V: 0.0503 0.0008 0.0026
V: 0.4497 0.9992 0.9974
O: 0.4993 0.4674 0.9338
O: 0.0007 0.5326 0.0662
Cl: 0.1614 0.8710 0.7414
Cl: 0.7483 0.8723 0.7453
Cl: 0.3386 0.1290 0.2586
Cl: 0.7517 0.1277 0.2547
Mg: 0.7500 0.5000 0.0000

Values from the calculation:
Symmetry: C2/m, No. 12
Polymorph energy (0 for the lowest one) in meV/atom: 0
Energy relative to the elements in eV/atom: -1.7881
Final energy in eV per atom: -5.38